CeFe2 (meta-GGA r2SCAN, relaxed); SG = Fd-3m (227); energy relative to the elements = 0.06 eV per atom
1.0
0.000 3.675 3.675
3.675 0.000 3.675
3.675 3.675 0.000
Ce Fe
2 4
Direct
0.125 0.125 0.125 Ce
0.875 0.875 0.875 Ce
0.000 0.500 0.500 Fe
0.500 0.000 0.500 Fe
0.500 0.500 0.000 Fe
0.500 0.500 0.500 Fe


CeFeGe3 (meta-GGA r2SCAN, relaxed); SG = I4mm (107); energy relative to the elements = -0.40 eV per atom
1.0
-2.169 2.169 4.944
2.169 -2.169 4.944
2.169 2.169 -4.944
Ce Fe Ge
1 1 3
Direct
0.000 0.000 0.000 Ce
0.323 0.323 0.000 Fe
0.234 0.734 0.500 Ge
0.554 0.554 0.000 Ge
0.734 0.234 0.500 Ge


CeFe4P12 (meta-GGA r2SCAN, relaxed); SG = Im-3 (204); energy relative to the elements = -0.58 eV per atom
1.0
-3.876 3.876 3.876
3.876 -3.876 3.876
3.876 3.876 -3.876
Ce Fe P
1 4 12
Direct
0.000 0.000 0.000 Ce
0.000 0.000 0.500 Fe
0.000 0.500 0.000 Fe
0.500 0.000 0.000 Fe
0.500 0.500 0.500 Fe
0.151 0.502 0.352 P
0.151 0.799 0.648 P
0.201 0.352 0.849 P
0.352 0.151 0.502 P
0.352 0.849 0.201 P
0.498 0.648 0.849 P
0.502 0.352 0.151 P
0.648 0.151 0.799 P
0.648 0.849 0.498 P
0.799 0.648 0.151 P
0.849 0.201 0.352 P
0.849 0.498 0.648 P


Ce2Fe12P7 (meta-GGA r2SCAN, relaxed); SG = P-6 (174); energy relative to the elements = -0.53 eV per atom
1.0
8.987 0.000 0.000
-4.493 7.783 0.000
0.000 0.000 3.736
Ce Fe P
2 12 7
Direct
0.000 0.000 0.000 Ce
0.333 0.667 0.500 Ce
0.047 0.765 0.500 Fe
0.089 0.394 0.000 Fe
0.235 0.282 0.500 Fe
0.305 0.911 0.000 Fe
0.389 0.208 0.000 Fe
0.552 0.121 0.500 Fe
0.569 0.448 0.500 Fe
0.606 0.695 0.000 Fe
0.718 0.953 0.500 Fe
0.792 0.181 0.000 Fe
0.819 0.611 0.000 Fe
0.879 0.431 0.500 Fe
0.078 0.643 0.000 P
0.265 0.040 0.500 P
0.357 0.435 0.000 P
0.565 0.922 0.000 P
0.667 0.333 0.000 P
0.775 0.735 0.500 P
0.960 0.225 0.500 P


CeFeSi (meta-GGA r2SCAN, relaxed); SG = P4/nmm (129); energy relative to the elements = -0.46 eV per atom
1.0
4.034 0.000 0.000
0.000 4.034 0.000
0.000 0.000 6.738
Ce Fe Si
2 2 2
Direct
0.250 0.250 0.190 Ce
0.750 0.750 0.810 Ce
0.250 0.750 0.500 Fe
0.750 0.250 0.500 Fe
0.250 0.250 0.670 Si
0.750 0.750 0.330 Si


CeFeSi2 (meta-GGA r2SCAN, relaxed); SG = Cmcm (63); energy relative to the elements = -0.58 eV per atom
1.0
2.037 -8.248 0.000
2.037 8.248 0.000
0.000 0.000 4.013
Ce Fe Si
2 2 4
Direct
0.111 0.889 0.750 Ce
0.889 0.111 0.250 Ce
0.250 0.750 0.250 Fe
0.750 0.250 0.750 Fe
0.313 0.687 0.750 Si
0.463 0.537 0.750 Si
0.537 0.463 0.250 Si
0.687 0.313 0.250 Si


CeFe2Si2 (meta-GGA r2SCAN, relaxed); SG = I4/mmm (139); energy relative to the elements = -0.46 eV per atom
1.0
-2.000 2.000 4.706
2.000 -2.000 4.706
2.000 2.000 -4.706
Ce Fe Si
1 2 2
Direct
0.000 0.000 0.000 Ce
0.250 0.750 0.500 Fe
0.750 0.250 0.500 Fe
0.362 0.362 0.000 Si
0.638 0.638 0.000 Si


CeYFe4 (meta-GGA r2SCAN, relaxed); SG = F-43m (216); energy relative to the elements = 0.06 eV per atom
1.0
0.000 3.680 3.680
3.680 0.000 3.680
3.680 3.680 0.000
Ce Y Fe
1 1 4
Direct
0.000 0.000 0.000 Ce
0.750 0.750 0.750 Y
0.374 0.374 0.374 Fe
0.374 0.374 0.877 Fe
0.374 0.877 0.374 Fe
0.877 0.374 0.374 Fe


CeGa3 (meta-GGA r2SCAN, relaxed); SG = Cmcm (63); energy relative to the elements = -0.62 eV per atom
1.0
3.251 -5.602 0.000
3.251 5.602 0.000
0.000 0.000 4.538
Ce Ga
2 6
Direct
0.166 0.834 0.750 Ce
0.834 0.166 0.250 Ce
0.220 0.360 0.750 Ga
0.359 0.641 0.250 Ga
0.360 0.220 0.250 Ga
0.640 0.780 0.750 Ga
0.641 0.359 0.750 Ga
0.780 0.640 0.250 Ga


CeGa (meta-GGA r2SCAN, relaxed); SG = Cmcm (63); energy relative to the elements = -0.63 eV per atom
1.0
2.230 -5.653 0.000
2.230 5.653 0.000
0.000 0.000 4.179
Ce Ga
2 2
Direct
0.143 0.857 0.750 Ce
0.857 0.143 0.250 Ce
0.433 0.567 0.750 Ga
0.567 0.433 0.250 Ga


CeGaIr (meta-GGA r2SCAN, relaxed); SG = Pnma (62); energy relative to the elements = -0.92 eV per atom
1.0
6.847 0.000 0.000
0.000 4.360 0.000
0.000 0.000 7.826
Ce Ga Ir
4 4 4
Direct
0.032 0.250 0.189 Ce
0.468 0.750 0.689 Ce
0.532 0.250 0.311 Ce
0.968 0.750 0.811 Ce
0.149 0.250 0.567 Ga
0.351 0.750 0.067 Ga
0.649 0.250 0.933 Ga
0.851 0.750 0.433 Ga
0.239 0.750 0.390 Ir
0.261 0.250 0.890 Ir
0.739 0.750 0.110 Ir
0.761 0.250 0.610 Ir


CeMgGa (meta-GGA r2SCAN, relaxed); SG = P-62m (189); energy relative to the elements = -0.45 eV per atom
1.0
7.479 0.000 0.000
-3.739 6.477 0.000
0.000 0.000 4.533
Ce Mg Ga
3 3 3
Direct
0.000 0.424 0.000 Ce
0.424 0.000 0.000 Ce
0.576 0.576 0.000 Ce
0.000 0.758 0.500 Mg
0.242 0.242 0.500 Mg
0.758 0.000 0.500 Mg
0.000 0.000 0.000 Ga
0.333 0.667 0.500 Ga
0.667 0.333 0.500 Ga


Q: Which of these has the lowest energy relative to the elements?
A: CeGaIr


Q: What is the formula in the eighth record?
A: CeYFe4